{"formula": "KGaGe3O8", "functional": "r2SCAN", "state": "optimized geometry", "lattice_angstrom": [[7.551, 0.000, 0.000], [-1.819, 7.742, 0.000], [-1.963, -3.986, 7.014]], "species": ["K", "K", "Ga", "Ga", "Ge", "Ge", "Ge", "Ge", "Ge", "Ge", "O", "O", "O", "O", "O", "O", "O", "O", "O", "O", "O", "O", "O", "O", "O", "O"], "fractional_positions": [[0.133, 0.275, 0.259], [0.867, 0.725, 0.741], [0.220, 0.812, 0.190], [0.780, 0.188, 0.810], [0.226, 0.179, 0.826], [0.344, 0.581, 0.819], [0.350, 0.807, 0.579], [0.650, 0.193, 0.421], [0.656, 0.419, 0.181], [0.774, 0.821, 0.174], [0.009, 0.141, 0.863], [0.202, 0.662, 0.946], [0.210, 0.939, 0.680], [0.252, 0.691, 0.332], [0.283, 0.322, 0.719], [0.290, 0.597, 0.610], [0.400, 0.067, 0.312], [0.402, 0.293, 0.059], [0.598, 0.707, 0.941], [0.600, 0.933, 0.688], [0.710, 0.403, 0.390], [0.717, 0.678, 0.281], [0.748, 0.309, 0.668], [0.790, 0.061, 0.320], [0.798, 0.338, 0.054], [0.991, 0.859, 0.137]], "formation_energy_ev_per_atom": -1.915, "e_tot_ev_per_atom": -10.135, "magmom_total_mub_per_fu": 0.00, "spacegroup": "P-1 (2)"}